Below is a relaxed structure of NpF3, with properties calculated at the r²SCAN level.

Cell and atoms, written as CIF:
```
data_NpF3
_space_group_name_H-M_alt 'P 63/m m c'
_space_group_IT_number 194
_space_group_name_Hall '-P 6c 2c'
_cell_length_a 4.1220
_cell_length_b 4.1220
_cell_length_c 7.3007
_cell_angle_alpha 90.00
_cell_angle_beta 90.00
_cell_angle_gamma 120.00
loop_
_atom_site_label
_atom_site_fract_x
_atom_site_fract_y
_atom_site_fract_z
Np1 0.3333 0.6667 0.2500
F1 0.0000 0.0000 0.2500
F2 0.3333 0.6667 0.5807
```

Values from the calculation:
* size of the total moment: 0.000 μB per atom
* calculated formation energy: -4.008 eV per atom
* total energy: -108.4 eV/f.u.